(1)
# Li2Mn2P3O12 | Materials Project | PBE+U | relaxed
data_Li2Mn2P3O12
_chemical_formula_sum 'Li8 Mn8 P12 O48'
_symmetry_space_group_name_H-M 'P 1'
_symmetry_Int_Tables_number 1
_cell_length_a 8.5401
_cell_length_b 8.5942
_cell_length_c 12.3194
_cell_angle_alpha 90.09
_cell_angle_beta 91.09
_cell_angle_gamma 90.38
loop_
_symmetry_equiv_pos_as_xyz
'x,y,z'
loop_
_atom_site_label
_atom_site_fract_x
_atom_site_fract_y
_atom_site_fract_z
O1 0.6447 0.1568 0.9231
O2 0.6447 0.3375 0.0811
O3 0.1603 0.9773 0.7820
O4 0.6922 0.9905 0.7295
O5 0.9450 0.1434 0.4267
O6 0.3396 0.9459 0.4587
O7 0.8478 0.8334 0.4184
O8 0.4428 0.3536 0.9255
O9 0.4279 0.0981 0.6637
O10 0.6614 0.2327 0.3246
O11 0.3514 0.5726 0.5206
O12 0.8226 0.0158 0.2170
O13 0.1516 0.0702 0.9784
O14 0.5563 0.8543 0.9222
O15 0.8555 0.7803 0.8209
O16 0.3440 0.7695 0.6740
O17 0.0510 0.8556 0.5754
O18 0.3541 0.8447 0.0769
O19 0.0776 0.8990 0.1540
O20 0.1606 0.2656 0.8240
O21 0.3240 0.4843 0.7148
O22 0.5585 0.6496 0.0777
O23 0.5796 0.6035 0.6535
O24 0.1551 0.4384 0.0364
O25 0.6598 0.2746 0.6821
O26 0.1583 0.2257 0.1808
O27 0.9207 0.1055 0.8474
O28 0.6572 0.0611 0.5370
O29 0.5756 0.9088 0.3385
O30 0.8454 0.5601 0.9593
O31 0.8231 0.4900 0.7674
O32 0.8475 0.7284 0.1791
O33 0.0574 0.6455 0.4208
O34 0.6460 0.4204 0.4838
O35 0.1496 0.3422 0.4241
O36 0.9412 0.3570 0.5756
O37 0.6971 0.5187 0.2943
O38 0.9238 0.4034 0.1617
O39 0.3561 0.7225 0.3205
O40 0.8461 0.9242 0.0235
O41 0.3538 0.6595 0.9216
O42 0.1461 0.1598 0.5829
O43 0.4393 0.1409 0.0761
O44 0.4300 0.3986 0.3417
O45 0.8557 0.6533 0.5774
O46 0.1692 0.5110 0.2363
O47 0.3205 0.0114 0.2663
O48 0.0801 0.6007 0.8368
P1 0.1069 0.3930 0.1481
P2 0.8969 0.8973 0.1422
P3 0.0386 0.2523 0.5028
P4 0.6120 0.3969 0.3627
P5 0.1039 0.1027 0.8610
P6 0.3953 0.8942 0.3490
P7 0.4608 0.7523 0.0013
P8 0.9000 0.6093 0.8489
P9 0.3985 0.6034 0.6400
P10 0.9573 0.7460 0.4982
P11 0.5342 0.2463 0.0018
P12 0.6080 0.1055 0.6493
Li1 0.9245 0.9189 0.7049
Li2 0.9528 0.5800 0.2827
Li3 0.2287 0.7717 0.8141
Li4 0.7801 0.2265 0.1867
Li5 0.2810 0.2201 0.3203
Li6 0.6961 0.7358 0.3083
Li7 0.7791 0.2822 0.8215
Li8 0.2840 0.2723 0.6874
Mn1 0.2572 0.5404 0.3848
Mn2 0.2519 0.4601 0.8874
Mn3 0.7477 0.5392 0.1055
Mn4 0.2553 0.9597 0.6098
Mn5 0.7432 0.9602 0.8889
Mn6 0.2503 0.0313 0.1146
Mn7 0.7519 0.0402 0.3881
Mn8 0.7497 0.4662 0.6164
# ΔE_f = -2.461 eV/atom
# Spin magnetization = 28.002 μB per cell

=====

(2)
# Li3Mn3P4O16 | Materials Project | PBE+U | relaxed
data_Li3Mn3P4O16
_chemical_formula_sum 'Li9 Mn9 P12 O48'
_symmetry_space_group_name_H-M 'P 1'
_symmetry_Int_Tables_number 1
_cell_length_a 8.1579
_cell_length_b 8.9441
_cell_length_c 13.2002
_cell_angle_alpha 84.17
_cell_angle_beta 87.59
_cell_angle_gamma 88.45
loop_
_symmetry_equiv_pos_as_xyz
'x,y,z'
loop_
_atom_site_label
_atom_site_fract_x
_atom_site_fract_y
_atom_site_fract_z
Mn1 0.0036 0.5176 0.5060
Mn2 0.5139 0.6717 0.8347
Mn3 0.1482 0.5591 0.8318
Mn4 0.3646 0.7321 0.1774
Mn5 0.9946 0.1500 0.8299
Mn6 0.5070 0.3217 0.1615
Mn7 0.9955 0.8386 0.1667
Mn8 0.8498 0.1095 0.5013
Mn9 0.4868 0.9954 0.4987
O1 0.8643 0.3050 0.7480
O2 0.1808 0.1553 0.7262
O3 0.9402 0.5761 0.7713
O4 0.3605 0.5184 0.2326
O5 0.9323 0.2447 0.0954
O6 0.1949 0.8235 0.0639
O7 0.8158 0.5138 0.6079
O8 0.3104 0.3385 0.0661
O9 0.5706 0.4239 0.4287
O10 0.9221 0.9222 0.4321
O11 0.3700 0.1939 0.2524
O12 0.3747 0.8365 0.8986
O13 0.1356 0.3575 0.9061
O14 0.6306 0.4683 0.0765
O15 0.3534 0.5271 0.9081
O16 0.4238 0.5857 0.5676
O17 0.4240 0.9195 0.2268
O18 0.6284 0.8270 0.4351
O19 0.6449 0.8025 0.7455
O20 0.5698 0.7429 0.1086
O21 0.0666 0.4214 0.2368
O22 0.7057 0.9989 0.6043
O23 0.8673 0.9666 0.0771
O24 0.1463 0.7000 0.2513
O25 0.8707 0.9745 0.7672
O26 0.8183 0.1642 0.9332
O27 0.8625 0.6460 0.4172
O28 0.6445 0.1408 0.4247
O29 0.5762 0.0813 0.7657
O30 0.8604 0.6393 0.1081
O31 0.1843 0.4990 0.3994
O32 0.3556 0.8651 0.5875
O33 0.1328 0.3656 0.5871
O34 0.4278 0.2452 0.9013
O35 0.1301 0.6937 0.5639
O36 0.2914 0.6694 0.7281
O37 0.8624 0.3106 0.4262
O38 0.2982 0.9939 0.3926
O39 0.3541 0.1754 0.5594
O40 0.6395 0.1478 0.0956
O41 0.1336 0.0259 0.2290
O42 0.6431 0.4959 0.7751
O43 0.7004 0.6778 0.9429
O44 0.8081 0.8432 0.2707
O45 0.0573 0.0946 0.5625
O46 0.6896 0.3270 0.2655
O47 0.1444 0.0207 0.9160
O48 0.0787 0.7451 0.9038
P1 0.3014 0.0312 0.2763
P2 0.8164 0.4736 0.7258
P3 0.1796 0.5217 0.2823
P4 0.6955 0.6325 0.0582
P5 0.1970 0.8538 0.9437
P6 0.6840 0.3136 0.3821
P7 0.8188 0.1392 0.0529
P8 0.6981 0.9712 0.7243
P9 0.3146 0.3538 0.9493
P10 0.8063 0.8137 0.3894
P11 0.3017 0.6961 0.6085
P12 0.1811 0.1961 0.6087
Li1 0.1306 0.2429 0.1629
Li2 0.3630 0.4147 0.4991
Li3 0.8679 0.4195 0.1662
Li4 0.6354 0.5918 0.5060
Li5 0.6404 0.2466 0.8387
Li6 0.1330 0.9047 0.4926
Li7 0.8662 0.7666 0.8440
Li8 0.6437 0.9321 0.1656
Li9 0.3640 0.0778 0.8258
# ΔE_f = -2.534 eV/atom
# Spin magnetization = 35.998 μB per cell

=====

(3)
# LiMn4P3O12 | Materials Project | PBE+U | relaxed
data_LiMn4P3O12
_chemical_formula_sum 'Li2 Mn8 P6 O24'
_symmetry_space_group_name_H-M 'P 1'
_symmetry_Int_Tables_number 1
_cell_length_a 6.8508
_cell_length_b 6.8478
_cell_length_c 10.8645
_cell_angle_alpha 71.64
_cell_angle_beta 71.69
_cell_angle_gamma 90.00
loop_
_symmetry_equiv_pos_as_xyz
'x,y,z'
loop_
_atom_site_label
_atom_site_fract_x
_atom_site_fract_y
_atom_site_fract_z
O1 0.3018 0.0943 0.3767
O2 0.8449 0.5529 0.8784
O3 0.3209 0.5312 0.3781
O4 0.9062 0.1457 0.0844
O5 0.8426 0.4805 0.4181
O6 0.6705 0.3373 0.7916
O7 0.9043 0.6805 0.6252
O8 0.4255 0.1566 0.1234
O9 0.6626 0.4612 0.2106
O10 0.4681 0.7006 0.6234
O11 0.6250 0.7907 0.2888
O12 0.0118 0.7717 0.0824
O13 0.5206 0.2637 0.5830
O14 0.2109 0.9195 0.7096
O15 0.2287 0.0957 0.9180
O16 0.8541 0.9912 0.9175
O17 0.2790 0.5760 0.8768
O18 0.0829 0.9208 0.2915
O19 0.8955 0.1583 0.5834
O20 0.5395 0.8794 0.7885
O21 0.4452 0.7200 0.1241
O22 0.0792 0.3781 0.7101
O23 0.7382 0.1050 0.4180
O24 0.1229 0.3289 0.2117
P1 0.7492 0.2518 0.5007
P2 0.3743 0.7798 0.7499
P3 0.8744 0.4754 0.7517
P4 0.2220 0.1251 0.2507
P5 0.5245 0.6257 0.2505
P6 0.0003 0.0009 0.0006
Mn1 0.3748 0.3644 0.7508
Mn2 0.5198 0.0199 0.9615
Mn3 0.9814 0.4800 0.0404
Mn4 0.2302 0.2306 0.5391
Mn5 0.8748 0.8896 0.7506
Mn6 0.7673 0.7698 0.4629
Mn7 0.1102 0.6260 0.2512
Mn8 0.6366 0.1254 0.2507
Li1 0.2482 0.7434 0.5026
Li2 0.4977 0.4976 0.0041
# ΔE_f = -2.529 eV/atom
# Spin magnetization = 40.003 μB per cell

=====

(4)
# LiMn2P2O8 | Materials Project | PBE+U | relaxed
data_LiMn2P2O8
_chemical_formula_sum 'Li3 Mn6 P6 O24'
_symmetry_space_group_name_H-M 'P 1'
_symmetry_Int_Tables_number 1
_cell_length_a 8.5909
_cell_length_b 8.4763
_cell_length_c 7.3267
_cell_angle_alpha 87.41
_cell_angle_beta 84.68
_cell_angle_gamma 60.27
loop_
_symmetry_equiv_pos_as_xyz
'x,y,z'
loop_
_atom_site_label
_atom_site_fract_x
_atom_site_fract_y
_atom_site_fract_z
O1 0.6117 0.5340 0.4933
O2 0.4187 0.7297 0.1669
O3 0.1496 0.7963 0.9948
O4 0.8861 0.5911 0.5218
O5 0.5737 0.2968 0.6764
O6 0.4817 0.1227 0.0126
O7 0.4054 0.4722 0.0085
O8 0.5208 0.8851 0.4665
O9 0.8064 0.0355 0.9390
O10 0.0308 0.1540 0.0461
O11 0.8367 0.4592 0.1901
O12 0.1570 0.5477 0.3247
O13 0.2884 0.1328 0.6788
O14 0.8608 0.2052 0.4806
O15 0.2595 0.1801 0.3379
O16 0.7369 0.8347 0.1531
O17 0.7059 0.8354 0.8178
O18 0.9557 0.8512 0.4771
O19 0.1431 0.5888 0.6745
O20 0.5732 0.2940 0.3280
O21 0.4443 0.7086 0.8179
O22 0.1962 0.9530 0.4988
O23 0.0999 0.4112 0.9784
O24 0.8251 0.4142 0.8526
P1 0.3199 0.0360 0.4983
P2 0.0396 0.6452 0.5018
P3 0.3565 0.6802 0.0018
P4 0.6765 0.9588 0.9819
P5 0.9518 0.3574 0.0106
P6 0.6527 0.3262 0.4905
Mn1 0.6705 0.6564 0.6962
Mn2 0.6456 0.6872 0.2873
Mn3 0.0266 0.9811 0.2561
Mn4 0.3284 0.3268 0.7806
Mn5 0.3497 0.3262 0.2048
Mn6 0.0097 0.9857 0.7210
Li1 0.6637 0.3061 0.9124
Li2 0.0224 0.6652 0.9349
Li3 0.9817 0.3472 0.4068
# ΔE_f = -2.500 eV/atom
# Spin magnetization = 27.000 μB per cell

=====

| no. | E above lowest polymorph (eV per atom) |
| --- | --- |
| 1 | 0.010 |
| 2 | 0.002 |
| 3 | 0.022 |
| 4 | 0.038 |